# 1
HfO2: relaxed, PBE.

Output
The formation energy from the elements is -1098 kJ/mol of formula units. The energy with MP2020 corrections comes out at -1061.9 eV/cell. The magnetic moment comes out at 0.00 μB per cell.

The structure in CIF format:
```
data_HfO2
_space_group_name_H-M_alt 'P 1'
_space_group_IT_number 1
_cell_length_a 10.850
_cell_length_b 10.914
_cell_length_c 11.237
_cell_angle_alpha 90.52
_cell_angle_beta 92.40
_cell_angle_gamma 90.59
loop_
_space_group_symop_operation_xyz
'x,y,z'
loop_
_atom_site_label
_atom_site_fract_x
_atom_site_fract_y
_atom_site_fract_z
_atom_site_occupancy
Hf1 0.000 0.000 0.000 1
Hf2 0.000 0.243 0.150 1
Hf3 0.123 0.214 0.480 1
Hf4 0.132 0.730 0.587 1
Hf5 0.154 0.487 0.273 1
Hf6 0.190 0.681 0.058 1
Hf7 0.191 0.505 0.820 1
Hf8 0.220 0.941 0.213 1
Hf9 0.260 0.855 0.838 1
Hf10 0.265 0.218 0.045 1
Hf11 0.303 0.451 0.551 1
Hf12 0.330 0.968 0.559 1
Hf13 0.356 0.258 0.768 1
Hf14 0.391 0.732 0.356 1
Hf15 0.399 0.253 0.339 1
Hf16 0.466 0.487 0.142 1
Hf17 0.492 0.970 0.099 1
Hf18 0.507 0.737 0.631 1
Hf19 0.571 0.262 0.007 1
Hf20 0.576 0.495 0.803 1
Hf21 0.591 0.473 0.462 1
Hf22 0.624 0.015 0.429 1
Hf23 0.663 0.141 0.761 1
Hf24 0.678 0.762 0.188 1
Hf25 0.688 0.825 0.858 1
Hf26 0.802 0.457 0.185 1
Hf27 0.823 0.782 0.547 1
Hf28 0.829 0.222 0.542 1
Hf29 0.888 0.319 0.876 1
Hf30 0.892 0.498 0.473 1
Hf31 0.903 0.020 0.308 1
Hf32 0.933 0.610 0.811 1
Hf33 0.964 0.734 0.301 1
Hf34 0.988 0.017 0.727 1
O1 0.003 0.193 0.957 1
O2 0.005 0.796 0.472 1
O3 0.009 0.432 0.790 1
O4 0.035 0.161 0.320 1
O5 0.049 0.575 0.411 1
O6 0.055 0.907 0.285 1
O7 0.069 0.579 0.950 1
O8 0.076 0.640 0.195 1
O9 0.089 0.715 0.762 1
O10 0.113 0.852 0.050 1
O11 0.123 0.995 0.855 1
O12 0.140 0.092 0.108 1
O13 0.164 0.331 0.151 1
O14 0.173 0.911 0.643 1
O15 0.180 0.552 0.638 1
O16 0.220 0.301 0.625 1
O17 0.222 0.355 0.396 1
O18 0.230 0.331 0.895 1
O19 0.281 0.671 0.900 1
O20 0.283 0.124 0.445 1
O21 0.285 0.536 0.138 1
O22 0.296 0.574 0.381 1
O23 0.297 0.896 0.377 1
O24 0.312 0.782 0.184 1
O25 0.320 0.741 0.538 1
O26 0.358 0.068 0.183 1
O27 0.361 0.919 0.974 1
O28 0.366 0.450 0.742 1
O29 0.368 0.101 0.679 1
O30 0.395 0.849 0.726 1
O31 0.405 0.298 0.144 1
O32 0.407 0.181 0.934 1
O33 0.452 0.348 0.506 1
O34 0.491 0.423 0.311 1
O35 0.501 0.454 0.962 1
O36 0.505 0.909 0.520 1
O37 0.529 0.649 0.207 1
O38 0.535 0.545 0.628 1
O39 0.538 0.153 0.357 1
O40 0.545 0.668 0.450 1
O41 0.546 0.289 0.777 1
O42 0.568 0.681 0.817 1
O43 0.568 0.899 0.264 1
O44 0.600 0.110 0.092 1
O45 0.613 0.991 0.830 1
O46 0.627 0.836 0.034 1
O47 0.642 0.386 0.129 1
O48 0.671 0.114 0.584 1
O49 0.683 0.800 0.663 1
O50 0.724 0.230 0.916 1
O51 0.740 0.385 0.558 1
O52 0.744 0.457 0.353 1
O53 0.764 0.475 0.830 1
O54 0.785 0.922 0.437 1
O55 0.787 0.145 0.383 1
O56 0.809 0.632 0.160 1
O57 0.818 0.669 0.399 1
O58 0.834 0.726 0.896 1
O59 0.837 0.857 0.226 1
O60 0.854 0.186 0.730 1
O61 0.873 0.978 0.869 1
O62 0.888 0.365 0.052 1
O63 0.891 0.611 0.622 1
O64 0.897 0.078 0.138 1
O65 0.923 0.867 0.671 1
O66 0.969 0.401 0.263 1
O67 0.975 0.337 0.507 1
O68 0.997 0.105 0.563 1
```

---

# 2
ZrGaRh: relaxed, PBE.

Output
The formation energy from the elements is -238 kJ/mol of formula units.

The structure in CIF format:
```
data_ZrGaRh
_space_group_name_H-M_alt 'P -6 2 m'
_space_group_IT_number 189
_space_group_name_Hall 'P -6 -2'
_cell_length_a 7.3257
_cell_length_b 7.3257
_cell_length_c 3.3411
_cell_angle_alpha 90.00
_cell_angle_beta 90.00
_cell_angle_gamma 120.00
loop_
_atom_site_label
_atom_site_fract_x
_atom_site_fract_y
_atom_site_fract_z
_atom_site_occupancy
Zr1 0.0000 0.3930 0.0000 1
Ga1 0.0000 0.7269 0.5000 1
Rh1 0.0000 0.0000 0.0000 1
Rh2 0.3333 0.6667 0.5000 1
```

---

# 3
Na3AsH16S4O8: relaxed, PBE.

Output
The formation energy from the elements is -3700 kJ/mol of formula units. The energy with MP2020 corrections comes out at -629.5 eV/cell. The magnetic moment comes out at 0.00 μB per cell.

The structure in CIF format:
```
data_Na3AsH16S4O8
_space_group_name_H-M_alt 'P 1 21/c 1'
_space_group_IT_number 14
_cell_length_a 8.730
_cell_length_b 13.070
_cell_length_c 13.760
_cell_angle_alpha 90.00
_cell_angle_beta 103.47
_cell_angle_gamma 90.00
loop_
_space_group_symop_operation_xyz
'x,y,z'
'-x,-y,-z'
'-x,y+1/2,-z+1/2'
'x,-y+1/2,z+1/2'
loop_
_atom_site_label
_atom_site_fract_x
_atom_site_fract_y
_atom_site_fract_z
_atom_site_occupancy
Na1 0.000 0.000 0.000 1
Na2 0.164 0.050 0.590 1
Na3 0.331 0.059 0.917 1
Na4 0.500 0.000 0.500 1
As1 0.215 0.672 0.751 1
H1 0.002 0.018 0.197 1
H2 0.003 0.645 0.101 1
H3 0.091 0.616 0.348 1
H4 0.109 0.059 0.371 1
H5 0.187 0.233 0.801 1
H6 0.213 0.167 0.076 1
H7 0.230 0.637 0.983 1
H8 0.269 0.065 0.134 1
H9 0.315 0.654 0.094 1
H10 0.326 0.637 0.531 1
H11 0.329 0.191 0.471 1
H12 0.352 0.557 0.256 1
H13 0.370 0.243 0.812 1
H14 0.404 0.655 0.440 1
H15 0.429 0.191 0.584 1
H16 0.463 0.030 0.738 1
S1 0.048 0.713 0.841 1
S2 0.112 0.692 0.593 1
S3 0.286 0.511 0.785 1
S4 0.423 0.728 0.289 1
O1 0.032 0.073 0.412 1
O2 0.090 0.541 0.355 1
O3 0.239 0.096 0.066 1
O4 0.289 0.235 0.851 1
O5 0.303 0.603 0.040 1
O6 0.351 0.151 0.534 1
O7 0.356 0.018 0.749 1
O8 0.407 0.610 0.499 1
```